(w)
Density functional theory data (PBE) for a relaxed Li3BePCO7 crystal.

## Properties
ρ   2.51 g cm⁻³

abc: 6.2180 4.7829 8.2212
angles: 87.21 90.00 90.00
Closest atoms and distances in Å follow each position.
Sites, in units of the cell vectors:
O1 0.7500 0.5899 0.5342  1 P 1.56, 1 Be 1.62
O2 0.2500 0.8753 0.5923  1 P 1.55, 1 Be 1.73
Li1 0.4830 0.7747 0.7582  4 O 2.03-2.25
O3 0.5547 0.1849 0.6817  1 P 1.55
O4 0.2500 0.4101 0.4658  1 P 1.56, 1 Be 1.62
O5 0.2500 0.3506 0.0928  1 C 1.31
O6 0.7500 0.5765 0.1817  1 C 1.31
O7 0.2500 0.4235 0.8183  1 C 1.31
Li2 0.9830 0.2253 0.2418  4 O 2.03-2.25
C1 0.2500 0.2529 0.9473  3 O 1.29-1.31
O8 0.2500 0.9868 0.9289  1 C 1.29
Li3 0.2500 0.7503 0.1202  4 O 1.89-2.07
O9 0.7500 0.6494 0.9072  1 C 1.31
O10 0.4453 0.8151 0.3183  1 P 1.55
O11 0.0547 0.8151 0.3183  1 P 1.55
O12 0.7500 0.0132 0.0711  1 C 1.29
Be1 0.2500 0.2247 0.6363  3 O 1.62-1.81
Li4 0.0170 0.7747 0.7582  4 O 2.03-2.25
Be2 0.7500 0.7753 0.3637  3 O 1.62-1.81
Li5 0.5170 0.2253 0.2418  4 O 2.03-2.25
Li6 0.7500 0.2497 0.8798  4 O 1.89-2.07
P1 0.7500 0.2684 0.5730  4 O 1.55-1.56
O13 0.9453 0.1849 0.6817  1 P 1.55
C2 0.7500 0.7471 0.0527  3 O 1.29-1.31
P2 0.2500 0.7316 0.4270  4 O 1.55-1.56
O14 0.7500 0.1247 0.4077  1 P 1.55, 1 Be 1.73

(x)
Density functional theory data (PBE) for a relaxed Li3BePCO7 crystal.

## Properties
Piezoelectric modulus e_max   1.6 C/m²
ρ   2.30 g cm⁻³
Spin magnetization   0.00 μB/f.u.

abc: 6.8446 4.7897 8.1549
angles: 89.87 90.00 90.00
Closest atoms and distances in Å follow each position.
Sites, in units of the cell vectors:
O1 0.4568 0.9554 0.7370  1 P 1.57, 1 Be 1.62
O2 0.2371 0.3574 0.6316  1 P 1.54
C1 0.7334 0.4946 0.8508  3 O 1.29-1.32
Li1 0.5192 0.9478 0.0204  2 O 1.94-1.98
Li2 0.0192 0.0522 0.9796  2 O 1.94-1.98
O3 0.1021 0.9173 0.7672  1 P 1.53
Be1 0.6887 0.9837 0.6991  4 O 1.61-1.74
P1 0.2584 0.0404 0.6538  4 O 1.53-1.57
O4 0.2545 0.9039 0.4785  1 P 1.57, 1 Be 1.61
C2 0.2334 0.5054 0.1492  3 O 1.29-1.32
O5 0.6021 0.0827 0.2328  1 P 1.53
O6 0.2583 0.7786 0.1505  1 C 1.32
O7 0.1894 0.3823 0.0142  1 C 1.29
Li3 0.2263 0.5769 0.8186  3 O 1.86-1.88
O8 0.7583 0.2214 0.8495  1 C 1.32
Li4 0.3930 0.5433 0.4607  3 O 1.94-1.98
Li5 0.8930 0.4567 0.5393  3 O 1.94-1.98
O9 0.9568 0.0446 0.2630  1 P 1.57, 1 Be 1.62
O10 0.7371 0.6426 0.3684  1 P 1.54
O11 0.7545 0.0961 0.5215  1 P 1.57, 1 Be 1.61
O12 0.2573 0.3602 0.2815  1 C 1.29
O13 0.6894 0.6177 0.9858  1 C 1.29
O14 0.7573 0.6398 0.7185  1 C 1.29
Be2 0.1887 0.0163 0.3009  4 O 1.61-1.74
Li6 0.7263 0.4231 0.1814  3 O 1.86-1.88
P2 0.7584 0.9596 0.3462  4 O 1.53-1.57

What should be chosen as the most stable of them? Choose (x).

(w)
Density functional theory data (PBE) for a relaxed BeCo2Si crystal.

## Properties
ρ   6.67 g cm⁻³

abc: 3.7929 3.7929 3.7929
angles: 60.00 60.00 60.00
Closest atoms and distances in Å follow each position.
Sites, in units of the cell vectors:
Be1 0.5000 0.5000 0.5000  8 Co 2.32
Co1 0.7500 0.7500 0.7500  4 Be 2.32, 4 Si 2.32
Si1 0.0000 0.0000 0.0000  8 Co 2.32
Co2 0.2500 0.2500 0.2500  4 Be 2.32, 4 Si 2.32

(x)
Density functional theory data (PBE) for a relaxed BeCo2Si crystal.

## Properties
ρ   6.66 g cm⁻³
Spin magnetization   0.02 μB/f.u.

abc: 2.7149 2.7149 5.2459
angles: 90.00 90.00 90.00
Closest atoms and distances in Å follow each position.
Sites, in units of the cell vectors:
Co1 0.5000 0.5000 0.7550  4 Be 2.31, 4 Si 2.34, 1 Co 2.57
Co2 0.5000 0.5000 0.2450  4 Be 2.31, 4 Si 2.34, 1 Co 2.57
Si1 0.0000 0.0000 0.5000  8 Co 2.34
Be1 0.0000 0.0000 0.0000  8 Co 2.31

What should be chosen as the most stable of them? Choose (w).

(w)
Density functional theory data (PBE) for a relaxed BeCuO5F4 crystal.

## Properties
ρ   2.33 g cm⁻³
Spin magnetization   5.00 μB/f.u.

abc: 6.6694 10.6300 5.3068
angles: 95.24 114.89 102.74
Closest atoms and distances in Å follow each position.
Sites, in units of the cell vectors:
O1 0.4516 0.4592 0.0478  1 O 1.24
F1 0.0509 0.2488 0.7038  1 Be 1.54
Cu1 0.5000 0.5000 0.5000  2 F 1.84
F2 0.9443 0.1337 0.1957  1 Be 1.63
O2 0.6109 0.8674 0.9017  1 O 1.22
F3 0.2781 0.3473 0.4426  1 Be 1.65, 1 Cu 1.84
F4 0.0557 0.8663 0.8043  1 Be 1.63
Cu2 0.0000 0.0000 0.0000  2 O 1.78, 2 F 1.88
O3 0.9150 0.4543 0.9318  1 O 1.20
O4 0.1474 0.9515 0.3259  1 Cu 1.78
O5 0.4272 0.1238 0.8924  1 O 1.22
O6 0.5484 0.5408 0.9522  1 O 1.24
Be1 0.0206 0.2747 0.4107  4 F 1.51-1.65
F5 0.1534 0.6516 0.7228  1 Be 1.51
F6 0.7219 0.6527 0.5574  1 Be 1.65, 1 Cu 1.84
F7 0.9491 0.7512 0.2962  1 Be 1.54
Be2 0.9794 0.7253 0.5893  4 F 1.51-1.65
O7 0.5728 0.8762 0.1076  1 O 1.22
O8 0.3891 0.1326 0.0983  1 O 1.22
F8 0.8466 0.3484 0.2772  1 Be 1.51
O9 0.8526 0.0485 0.6741  1 Cu 1.78
O10 0.0850 0.5457 0.0682  1 O 1.20

(x)
Density functional theory data (PBE) for a relaxed BeCuO5F4 crystal.

## Properties
ρ   2.65 g cm⁻³
Spin magnetization   3.00 μB/f.u.

abc: 4.9670 6.5216 9.1471
angles: 95.02 90.17 103.75
Closest atoms and distances in Å follow each position.
Sites, in units of the cell vectors:
O1 0.9887 0.2695 0.5906  1 Cu 1.77
F1 0.3164 0.9829 0.1851  1 Be 1.51
O2 0.0049 0.2527 0.1042  1 Cu 1.82, 1 O 1.85
F2 0.6836 0.0171 0.8149  1 Be 1.51
Cu1 0.0000 0.5000 0.5000  4 O 1.77-1.84
O3 0.5883 0.4175 0.1379  1 O 1.21
Be1 0.4170 0.0338 0.7423  4 F 1.51-1.69
O4 0.6640 0.5162 0.5769  1 Cu 1.84
O5 0.0113 0.7305 0.4094  1 Cu 1.77
F3 0.2080 0.8087 0.7047  1 Be 1.59
F4 0.7436 0.8532 0.1219  1 Be 1.69, 1 Cu 1.84
F5 0.4339 0.1728 0.6148  1 Be 1.53
F6 0.2564 0.1468 0.8781  1 Be 1.69, 1 Cu 1.84
O6 0.4117 0.5825 0.8621  1 O 1.21
F7 0.7920 0.1913 0.2953  1 Be 1.59
O7 0.3360 0.4838 0.4231  1 Cu 1.84
O8 0.7229 0.3658 0.0379  1 O 1.21
Be2 0.5830 0.9662 0.2577  4 F 1.51-1.69
O9 0.9951 0.7473 0.8958  1 Cu 1.82, 1 O 1.85
F8 0.5661 0.8272 0.3852  1 Be 1.53
Cu2 0.0000 0.0000 0.0000  2 O 1.82, 2 F 1.84
O10 0.2771 0.6342 0.9621  1 O 1.21

What should be chosen as the most stable of them? Choose (w).

(w)
Density functional theory data (PBE) for a relaxed LiEr4Be4Si2O14 crystal.

## Properties
ρ   6.09 g cm⁻³
Spin magnetization   1.00 μB/f.u.

abc: 4.8669 7.4701 7.4701
angles: 87.22 87.01 87.01
Closest atoms and distances in Å follow each position.
Sites, in units of the cell vectors:
Be1 0.0441 0.8692 0.6511  4 O 1.59-1.78
O1 0.1987 0.0741 0.1639  1 Si 1.67, 1 Be 1.78
Si1 0.0097 0.9920 0.0090  4 O 1.63-1.67
O2 0.1782 0.0219 0.5219  2 Be 1.60
O3 0.7927 0.4995 0.9995  2 Be 1.64-1.66
O4 0.7173 0.8600 0.6626  1 Be 1.59
Be2 0.9679 0.6254 0.1254  2 O 1.51-1.66
O5 0.8107 0.6019 0.3403  1 Si 1.63, 1 Be 1.75
Er1 0.4752 0.6334 0.8104  7 O 2.25-2.46
Er2 0.4752 0.3104 0.1334  7 O 2.25-2.46
O6 0.2716 0.5844 0.0844  1 Be 1.51
O7 0.8107 0.8403 0.1019  1 Si 1.63, 1 Be 1.75
O8 0.1987 0.3452 0.4005  1 Si 1.65, 1 Be 1.70
O9 0.8105 0.1614 0.9240  1 Si 1.67, 1 Be 1.73
Er3 0.5413 0.1630 0.6630  6 O 2.20-2.42
Er4 0.5399 0.8887 0.3887  3 O 2.19-2.26, 1 Li 2.42
Li1 0.5584 0.6646 0.1646  3 O 1.70-1.87
O10 0.1987 0.9005 0.8452  1 Si 1.65, 1 Be 1.70
O11 0.1987 0.6639 0.5741  1 Si 1.67, 1 Be 1.78
O12 0.8105 0.4240 0.6614  1 Si 1.67, 1 Be 1.73
Be3 0.0441 0.1511 0.3692  4 O 1.59-1.78
O13 0.7173 0.1626 0.3600  1 Be 1.59
Be4 0.9586 0.3621 0.8621  4 O 1.60-1.73
Si2 0.0097 0.5090 0.4920  4 O 1.63-1.67
O14 0.2869 0.3398 0.8398  1 Be 1.60

(x)
Density functional theory data (PBE) for a relaxed LiEr4Be4Si2O14 crystal.

## Properties
ρ   6.31 g cm⁻³
Spin magnetization   0.04 μB/f.u.

abc: 4.7651 7.4015 7.4015
angles: 90.00 90.00 90.00
Closest atoms and distances in Å follow each position.
Sites, in units of the cell vectors:
Be1 0.0384 0.8646 0.6360  3 O 1.58-1.73
Be2 0.0384 0.1354 0.3640  3 O 1.58-1.73
O1 0.7985 0.5792 0.3368  1 Si 1.65, 1 Be 1.73
Be3 0.9616 0.3640 0.8646  3 O 1.58-1.73
Si1 0.0000 0.5000 0.5000  4 O 1.65
Si2 0.0000 0.0000 0.0000  4 O 1.65
O2 0.2947 0.6435 0.1397  1 Be 1.59
Li1 0.5000 0.0000 0.0000  4 O 1.91
Er1 0.5117 0.1663 0.6428  6 O 2.26-2.45
Er2 0.4883 0.6428 0.8337  6 O 2.26-2.45
O3 0.7053 0.1397 0.3565  1 Be 1.59
O4 0.7903 0.1581 0.9188  1 Si 1.65, 1 Be 1.77
O5 0.1814 0.0000 0.5000  2 Be 1.58
O6 0.7985 0.4208 0.6632  1 Si 1.65, 1 Be 1.73
O7 0.2097 0.0812 0.1581  1 Si 1.65, 1 Be 1.77
Er3 0.4883 0.3572 0.1663  6 O 2.26-2.45
Be4 0.9616 0.6360 0.1354  3 O 1.58-1.73
O8 0.2947 0.3565 0.8603  1 Be 1.59
O9 0.2097 0.9188 0.8419  1 Si 1.65, 1 Be 1.77
Er4 0.5117 0.8337 0.3572  6 O 2.26-2.45
O10 0.7053 0.8603 0.6435  1 Be 1.59
O11 0.2015 0.3368 0.4208  1 Si 1.65, 1 Be 1.73
O12 0.7903 0.8419 0.0812  1 Si 1.65, 1 Be 1.77
O13 0.8186 0.5000 0.0000  2 Be 1.58
O14 0.2015 0.6632 0.5792  1 Si 1.65, 1 Be 1.73

(y)
Density functional theory data (PBE) for a relaxed LiEr4Be4Si2O14 crystal.

## Properties
ρ   6.28 g cm⁻³
Spin magnetization   0.95 μB/f.u.

abc: 4.8659 7.3423 7.3423
angles: 89.17 90.16 90.16
Closest atoms and distances in Å follow each position.
Sites, in units of the cell vectors:
O1 0.7995 0.4145 0.6591  1 Si 1.64, 1 Be 1.70
Be1 0.9575 0.3594 0.8594  4 O 1.59-1.70
Er1 0.5098 0.1568 0.6568  6 O 2.27-2.38
O2 0.8142 0.5875 0.3348  1 Si 1.65, 1 Be 1.73
O3 0.8097 0.4946 0.9946  2 Be 1.55-1.59
Be2 0.0352 0.8692 0.6503  4 O 1.60-1.75
O4 0.2953 0.6270 0.1270  1 Be 1.60
Li1 0.0042 0.8380 0.3380  3 O 1.93-2.06
O5 0.2036 0.9176 0.8425  1 Si 1.64, 1 Be 1.67
O6 0.8142 0.8348 0.0875  1 Si 1.65, 1 Be 1.73
Be3 0.9658 0.6245 0.1245  4 O 1.55-1.73
O7 0.1906 0.0858 0.1661  1 Si 1.65, 1 Be 1.75
Er2 0.5072 0.8419 0.3419  6 O 2.36-2.47, 2 Li 2.42-2.45
O8 0.1906 0.6661 0.5858  1 Si 1.65, 1 Be 1.75
Er3 0.4854 0.3385 0.1542  6 O 2.27-2.40
O9 0.7070 0.8610 0.6502  1 Be 1.60
Be4 0.0352 0.1503 0.3692  4 O 1.60-1.75
O10 0.7070 0.1502 0.3610  1 Be 1.60
O11 0.2882 0.3537 0.8537  1 Be 1.61
O12 0.7995 0.1591 0.9145  1 Si 1.64, 1 Be 1.70
O13 0.1735 0.0054 0.5054  2 Be 1.60
Si1 0.0020 0.0011 0.9998  4 O 1.64-1.65
Si2 0.0020 0.4998 0.5011  4 O 1.64-1.65
O14 0.2036 0.3425 0.4176  1 Si 1.64, 1 Be 1.67
Er4 0.4854 0.6542 0.8385  6 O 2.27-2.40

What should be chosen as the most stable of them? Choose (x).

(w)
Density functional theory data (PBE) for a relaxed BeF2 crystal.

## Properties
Piezoelectric modulus e_max   0.0 C/m²
ρ   1.49 g cm⁻³

abc: 7.4139 7.4139 7.4139
angles: 109.47 109.47 109.47
Closest atoms and distances in Å follow each position.
Sites, in units of the cell vectors:
F1 0.3211 0.6123 0.0000  2 Be 1.56
F2 0.3211 0.0000 0.6123  2 Be 1.56
F3 0.7088 0.3877 0.3877  2 Be 1.56
Be1 0.2500 0.7500 0.5000  4 F 1.56
Be2 0.7500 0.5000 0.2500  4 F 1.56
F4 0.0000 0.6123 0.3211  2 Be 1.56
F5 0.6789 0.2912 0.6789  2 Be 1.56
F6 0.6789 0.6789 0.2912  2 Be 1.56
F7 0.2912 0.6789 0.6789  2 Be 1.56
F8 0.3877 0.3877 0.7088  2 Be 1.56
F9 0.6123 0.0000 0.3211  2 Be 1.56
Be3 0.7500 0.2500 0.5000  4 F 1.56
Be4 0.5000 0.7500 0.2500  4 F 1.56
Be5 0.2500 0.5000 0.7500  4 F 1.56
F10 0.3877 0.7088 0.3877  2 Be 1.56
Be6 0.5000 0.2500 0.7500  4 F 1.56
F11 0.0000 0.3211 0.6123  2 Be 1.56
F12 0.6123 0.3211 0.0000  2 Be 1.56

(x)
Density functional theory data (PBE) for a relaxed BeF2 crystal.

## Properties
ρ   1.93 g cm⁻³
Spin magnetization   0.00 μB/f.u.

abc: 4.3377 4.3377 2.3959
angles: 90.00 90.00 116.00
Closest atoms and distances in Å follow each position.
Sites, in units of the cell vectors:
Be1 0.0000 0.0000 0.0000  4 F 1.62
F1 0.8521 0.1479 0.5000  2 Be 1.62
F2 0.1479 0.8521 0.5000  2 Be 1.62

(y)
Density functional theory data (PBE) for a relaxed BeF2 crystal.

## Properties
ρ   2.26 g cm⁻³
Spin magnetization   0.00 μB/f.u.

abc: 6.9302 7.1666 12.6216
angles: 89.99 90.09 117.96
Closest atoms and distances in Å follow each position.
Sites, in units of the cell vectors:
F1 0.9600 0.9730 0.9818  2 Be 1.53-1.60
F2 0.4594 0.4752 0.0175  2 Be 1.53-1.60
F3 0.0354 0.5203 0.4830  2 Be 1.53-1.60
Be1 0.0863 0.4827 0.6025  3 F 1.46-1.62
F4 0.7265 0.2374 0.8892  2 Be 1.50-1.60
F5 0.0075 0.9367 0.7771  2 Be 1.55
Be2 0.9437 0.4335 0.8930  3 F 1.46-1.50
F6 0.4618 0.7664 0.3625  1 Be 1.46
F7 0.9616 0.8609 0.1768  2 Be 1.56-1.61
F8 0.9443 0.6406 0.9006  2 Be 1.49-1.59
F9 0.0299 0.2351 0.1354  1 Be 1.45
F10 0.1484 0.4209 0.8906  2 Be 1.46-1.63
F11 0.1942 0.0111 0.5961  2 Be 1.57-1.59
F12 0.5408 0.1459 0.3241  2 Be 1.57-1.62
Be3 0.5549 0.5672 0.6063  3 F 1.46-1.50
F13 0.0537 0.8564 0.4014  2 Be 1.49-1.60
Be4 0.4921 0.1529 0.8346  4 F 1.55-1.60
Be5 0.9504 0.6056 0.3932  4 F 1.53-1.60
F14 0.5074 0.4404 0.2228  2 Be 1.55
Be6 0.0550 0.0645 0.3925  3 F 1.46-1.51
F15 0.4525 0.1447 0.0978  2 Be 1.49-1.60
Be7 0.9150 0.0166 0.1009  3 F 1.45-1.61
F16 0.5341 0.7318 0.8606  1 Be 1.46
F17 0.2284 0.7412 0.1116  2 Be 1.50-1.60
Be8 0.4515 0.1079 0.6079  4 F 1.53-1.59
F18 0.6491 0.9155 0.1066  2 Be 1.47-1.63
F19 0.5514 0.3576 0.5992  2 Be 1.49-1.59
F20 0.8074 0.4964 0.0976  2 Be 1.56-1.58
F21 0.5426 0.0271 0.5188  2 Be 1.53-1.60
Be9 0.5065 0.3462 0.3332  4 F 1.55-1.60
Be10 0.4468 0.9352 0.1072  3 F 1.47-1.50
F22 0.2721 0.2617 0.3884  2 Be 1.51-1.60
Be11 0.4126 0.5144 0.8978  4 F 1.46-1.63
F23 0.9914 0.5615 0.2773  2 Be 1.55
Be12 0.0073 0.8436 0.6665  4 F 1.55-1.60
Be13 0.0493 0.8912 0.8926  4 F 1.53-1.59
F24 0.8499 0.0761 0.3908  1 Be 1.46
F25 0.6933 0.5134 0.4035  2 Be 1.56-1.59
F26 0.9724 0.2651 0.6400  1 Be 1.46
F27 0.3063 0.9837 0.9045  2 Be 1.56-1.59
F28 0.0398 0.6425 0.6758  2 Be 1.56-1.62
F29 0.7734 0.7616 0.6117  2 Be 1.50-1.60
Be14 0.5506 0.3960 0.1073  4 F 1.53-1.60
F30 0.4553 0.3513 0.8253  2 Be 1.56-1.62
F31 0.4955 0.0630 0.7233  2 Be 1.55
Be15 0.5843 0.9849 0.3985  3 F 1.46-1.62
F32 0.3520 0.5822 0.6069  2 Be 1.46-1.63
Be16 0.9960 0.6609 0.1677  4 F 1.55-1.60

(z)
Density functional theory data (PBE) for a relaxed BeF2 crystal.

## Properties
ρ   1.25 g cm⁻³
Spin magnetization   0.00 μB/f.u.

abc: 4.9162 4.9162 9.0322
angles: 87.79 87.79 59.44
Closest atoms and distances in Å follow each position.
Sites, in units of the cell vectors:
F1 0.2579 0.5332 0.6048  2 Be 1.52-1.56
Be1 0.9430 0.5868 0.6666  3 F 1.41-1.54
F2 0.7371 0.8368 0.7600  1 Be 1.41
F3 0.1632 0.2629 0.2400  1 Be 1.41
Be2 0.5488 0.4512 0.5000  4 F 1.56-1.57
Be3 0.4132 0.0570 0.3334  3 F 1.41-1.54
F4 0.4668 0.7421 0.3952  2 Be 1.52-1.56
F5 0.8457 0.3758 0.5908  2 Be 1.54-1.57
F6 0.6242 0.1543 0.4092  2 Be 1.54-1.57

What should be chosen as the most stable of them? Choose (w).